(1)
{
  "formula": "UTe6O6F30",
  "functional": "PBE-GGA",
  "state": "relaxed",
  "dft_energy_ev_per_atom": -4.7197,
  "formation_energy_ev_per_atom": -2.411,
  "lattice_angstrom": [[-1.256, -8.292, 5.489], [8.879, 1.016, -4.539], [6.473, 1.520, 7.954]],
  "species": ["F", "O", "F", "F", "F", "O", "F", "F", "F", "F", "Te", "F", "U", "F", "Te", "F", "F", "Te", "F", "O", "O", "F", "F", "O", "F", "F", "F", "F", "F", "F", "F", "F", "Te", "F", "F", "F", "F", "Te", "F", "F", "Te", "O", "F"],
  "frac_coords": [[0.120, 0.328, 0.590], [0.783, 0.954, 0.128], [0.736, 0.581, 0.913], [0.481, 0.040, 0.878], [0.053, 0.209, 0.342], [0.107, 0.107, 0.127], [0.209, 0.053, 0.342], [0.583, 0.111, 0.602], [0.702, 0.138, 0.237], [0.111, 0.583, 0.602], [0.079, 0.403, 0.735], [0.960, 0.519, 0.122], [0.000, 0.000, 0.000], [0.419, 0.264, 0.087], [0.235, 0.235, 0.214], [0.297, 0.510, 0.706], [0.417, 0.889, 0.398], [0.765, 0.765, 0.786], [0.703, 0.490, 0.294], [0.893, 0.893, 0.873], [0.217, 0.046, 0.872], [0.519, 0.960, 0.122], [0.040, 0.481, 0.878], [0.954, 0.783, 0.128], [0.490, 0.703, 0.294], [0.672, 0.880, 0.410], [0.889, 0.417, 0.398], [0.791, 0.947, 0.658], [0.360, 0.360, 0.298], [0.510, 0.297, 0.706], [0.640, 0.640, 0.702], [0.947, 0.791, 0.658], [0.597, 0.921, 0.265], [0.138, 0.702, 0.237], [0.264, 0.419, 0.087], [0.880, 0.672, 0.410], [0.581, 0.736, 0.913], [0.403, 0.079, 0.735], [0.862, 0.298, 0.763], [0.328, 0.120, 0.590], [0.921, 0.597, 0.265], [0.046, 0.217, 0.872], [0.298, 0.862, 0.763]]
}

---

(2)
{
  "formula": "Te2XeO4F10",
  "functional": "PBE-GGA",
  "state": "relaxed",
  "dft_energy_ev_per_atom": -3.7472,
  "formation_energy_ev_per_atom": -1.518,
  "lattice_angstrom": [[-4.148, -18.343, -10.011], [5.296, -0.690, -0.929], [4.043, -5.626, 8.633]],
  "species": ["F", "F", "F", "F", "F", "F", "O", "O", "F", "O", "F", "F", "O", "F", "F", "F", "O", "O", "F", "O", "F", "F", "Te", "Te", "F", "F", "Te", "F", "O", "F", "F", "Xe", "O", "F", "O", "O", "F", "O", "F", "Te", "O", "F", "Xe", "F", "F", "F", "Xe", "Te", "F", "F", "F", "F", "F", "F", "O", "F", "O", "O", "F", "Te", "Te", "F", "Xe", "F", "F", "F", "Te", "F"],
  "frac_coords": [[0.481, 0.809, 0.649], [0.328, 0.409, 0.891], [0.308, 0.737, 0.020], [0.784, 0.788, 0.057], [0.231, 0.711, 0.835], [0.192, 0.737, 0.520], [0.150, 0.018, 0.211], [0.808, 0.440, 0.919], [0.416, 0.930, 0.327], [0.976, 0.803, 0.733], [0.981, 0.191, 0.851], [0.284, 0.212, 0.443], [0.650, 0.982, 0.289], [0.571, 0.593, 0.805], [0.769, 0.289, 0.165], [0.294, 0.234, 0.126], [0.850, 0.982, 0.789], [0.928, 0.626, 0.999], [0.935, 0.949, 0.423], [0.524, 0.803, 0.233], [0.019, 0.809, 0.149], [0.537, 0.318, 0.107], [0.259, 0.477, 0.986], [0.759, 0.523, 0.514], [0.584, 0.070, 0.673], [0.565, 0.949, 0.923], [0.523, 0.890, 0.785], [0.071, 0.407, 0.695], [0.572, 0.626, 0.499], [0.463, 0.682, 0.893], [0.716, 0.788, 0.557], [0.891, 0.667, 0.843], [0.476, 0.197, 0.767], [0.692, 0.263, 0.980], [0.428, 0.374, 0.501], [0.072, 0.374, 0.001], [0.963, 0.318, 0.607], [0.350, 0.018, 0.711], [0.429, 0.407, 0.195], [0.023, 0.110, 0.715], [0.192, 0.560, 0.081], [0.929, 0.593, 0.305], [0.391, 0.333, 0.657], [0.808, 0.263, 0.480], [0.672, 0.591, 0.109], [0.065, 0.051, 0.577], [0.109, 0.333, 0.157], [0.241, 0.477, 0.486], [0.519, 0.191, 0.351], [0.731, 0.289, 0.665], [0.172, 0.409, 0.391], [0.037, 0.682, 0.393], [0.206, 0.234, 0.626], [0.435, 0.051, 0.077], [0.024, 0.197, 0.267], [0.216, 0.212, 0.943], [0.692, 0.440, 0.419], [0.308, 0.560, 0.581], [0.794, 0.766, 0.374], [0.977, 0.890, 0.285], [0.741, 0.523, 0.014], [0.269, 0.711, 0.335], [0.609, 0.667, 0.343], [0.828, 0.591, 0.609], [0.084, 0.930, 0.827], [0.916, 0.070, 0.173], [0.477, 0.110, 0.215], [0.706, 0.766, 0.874]]
}

---

(3)
{
  "formula": "Te4XeO4F20",
  "functional": "PBE-GGA",
  "state": "relaxed",
  "dft_energy_ev_per_atom": -3.9885,
  "formation_energy_ev_per_atom": -1.964,
  "lattice_angstrom": [[-1.726, -1.774, 5.147], [-1.992, -7.840, -3.583], [10.350, 0.477, 2.021]],
  "species": ["F", "Te", "F", "Te", "O", "Te", "F", "F", "O", "F", "F", "F", "O", "F", "F", "F", "O", "F", "F", "F", "F", "F", "F", "F", "F", "Te", "Xe", "F", "F"],
  "frac_coords": [[0.432, 0.824, 0.163], [0.773, 0.607, 0.748], [0.527, 0.401, 0.353], [0.737, 0.900, 0.259], [0.236, 0.967, 0.851], [0.227, 0.393, 0.252], [0.699, 0.771, 0.363], [0.568, 0.176, 0.837], [0.263, 0.170, 0.150], [0.916, 0.665, 0.620], [0.473, 0.599, 0.647], [0.629, 0.535, 0.868], [0.737, 0.830, 0.850], [0.609, 0.069, 0.384], [0.194, 0.607, 0.353], [0.042, 0.969, 0.357], [0.764, 0.033, 0.149], [0.958, 0.031, 0.643], [0.928, 0.386, 0.149], [0.806, 0.393, 0.647], [0.371, 0.465, 0.132], [0.072, 0.614, 0.851], [0.301, 0.229, 0.637], [0.132, 0.271, 0.864], [0.868, 0.729, 0.136], [0.263, 0.100, 0.741], [0.000, 0.000, 0.000], [0.084, 0.335, 0.380], [0.391, 0.931, 0.616]]
}

---

(4)
{
  "formula": "Th6OF24",
  "functional": "PBE-GGA",
  "state": "relaxed",
  "dft_energy_ev_per_atom": -6.9706,
  "formation_energy_ev_per_atom": -4.274,
  "lattice_angstrom": [[7.625, -0.717, 4.447], [-5.312, 1.049, 7.009], [-1.985, -6.757, -5.369]],
  "species": ["F", "F", "F", "Th", "Th", "F", "F", "F", "Th", "F", "F", "F", "O", "F", "F", "F", "Th", "F", "Th", "F", "F", "F", "F", "F", "F", "F", "F", "F", "Th", "F", "F"],
  "frac_coords": [[0.675, 0.966, 0.884], [0.325, 0.034, 0.116], [0.767, 0.368, 0.136], [0.173, 0.385, 0.558], [0.221, 0.221, 0.000], [0.890, 0.390, 0.500], [0.390, 0.890, 0.500], [0.034, 0.918, 0.710], [0.827, 0.615, 0.442], [0.727, 0.470, 0.872], [0.082, 0.791, 0.116], [0.791, 0.675, 0.710], [0.000, 0.000, 0.000], [0.233, 0.632, 0.864], [0.368, 0.233, 0.601], [0.403, 0.145, 0.872], [0.385, 0.827, 0.211], [0.597, 0.855, 0.128], [0.779, 0.779, 0.000], [0.855, 0.727, 0.257], [0.966, 0.082, 0.290], [0.610, 0.110, 0.500], [0.145, 0.273, 0.743], [0.209, 0.325, 0.290], [0.530, 0.403, 0.257], [0.273, 0.530, 0.128], [0.470, 0.597, 0.743], [0.632, 0.767, 0.399], [0.615, 0.173, 0.789], [0.110, 0.610, 0.500], [0.918, 0.209, 0.884]]
}

---

(5)
{
  "formula": "Th5OF19",
  "functional": "PBE-GGA",
  "state": "relaxed",
  "dft_energy_ev_per_atom": -7.0407,
  "formation_energy_ev_per_atom": -4.283,
  "lattice_angstrom": [[3.661, -11.871, 0.000], [3.661, 11.871, 0.000], [0.000, 0.000, 8.303]],
  "species": ["F", "F", "Th", "F", "F", "F", "Th", "F", "F", "F", "F", "F", "F", "F", "F", "Th", "F", "Th", "F", "F", "Th", "Th", "F", "F", "F", "F", "F", "F", "F", "O", "F", "F", "Th", "Th", "F", "F", "F", "F", "Th", "Th", "F", "F", "F", "F", "F", "O", "F", "F", "F", "F"],
  "frac_coords": [[0.661, 0.993, 0.487], [0.052, 0.512, 0.750], [0.210, 0.822, 0.250], [0.738, 0.262, 0.000], [0.520, 0.749, 0.250], [0.821, 0.481, 0.750], [0.870, 0.870, 0.750], [0.262, 0.738, 0.500], [0.269, 0.390, 0.085], [0.610, 0.731, 0.585], [0.390, 0.269, 0.415], [0.993, 0.661, 0.013], [0.519, 0.179, 0.250], [0.731, 0.610, 0.915], [0.134, 0.930, 0.250], [0.790, 0.178, 0.750], [0.251, 0.480, 0.750], [0.633, 0.367, 0.500], [0.738, 0.262, 0.500], [0.000, 0.000, 0.000], [0.367, 0.633, 0.500], [0.822, 0.210, 0.250], [0.480, 0.251, 0.750], [0.948, 0.488, 0.250], [0.000, 0.000, 0.500], [0.993, 0.661, 0.487], [0.930, 0.134, 0.250], [0.488, 0.948, 0.250], [0.262, 0.738, 0.000], [0.170, 0.170, 0.750], [0.339, 0.007, 0.513], [0.731, 0.610, 0.585], [0.130, 0.130, 0.250], [0.633, 0.367, 0.000], [0.070, 0.866, 0.750], [0.179, 0.519, 0.250], [0.007, 0.339, 0.513], [0.007, 0.339, 0.987], [0.367, 0.633, 0.000], [0.178, 0.790, 0.750], [0.512, 0.052, 0.750], [0.866, 0.070, 0.750], [0.339, 0.007, 0.987], [0.269, 0.390, 0.415], [0.610, 0.731, 0.915], [0.830, 0.830, 0.250], [0.390, 0.269, 0.085], [0.661, 0.993, 0.013], [0.749, 0.520, 0.250], [0.481, 0.821, 0.750]]
}

---

(6)
{
  "formula": "TiOF5",
  "functional": "PBE-GGA",
  "state": "relaxed",
  "dft_energy_ev_per_atom": -5.2340,
  "formation_energy_ev_per_atom": -2.460,
  "lattice_angstrom": [[-4.801, 3.211, 4.541], [-4.298, -1.630, 5.731], [5.966, 3.250, 10.692]],
  "species": ["F", "Ti", "F", "F", "O", "F", "F", "F", "F", "O", "F", "F", "F", "Ti", "F", "F", "O", "Ti", "F", "F", "O", "F", "F", "F", "F", "F", "F", "Ti"],
  "frac_coords": [[0.000, 0.482, 0.213], [0.139, 0.135, 0.313], [0.946, 0.684, 0.568], [0.306, 0.809, 0.419], [0.722, 0.473, 0.550], [0.316, 0.054, 0.932], [0.204, 0.718, 0.660], [0.729, 0.042, 0.807], [0.271, 0.958, 0.193], [0.278, 0.527, 0.450], [0.958, 0.271, 0.693], [0.796, 0.282, 0.340], [0.042, 0.729, 0.307], [0.135, 0.139, 0.813], [0.684, 0.946, 0.068], [0.694, 0.191, 0.581], [0.473, 0.722, 0.050], [0.865, 0.861, 0.187], [0.718, 0.204, 0.160], [0.809, 0.306, 0.919], [0.527, 0.278, 0.950], [0.054, 0.316, 0.432], [0.282, 0.796, 0.840], [0.518, 0.000, 0.287], [0.191, 0.694, 0.081], [0.482, 0.000, 0.713], [0.000, 0.518, 0.787], [0.861, 0.865, 0.687]]
}

---

(7)
{
  "formula": "TlOF",
  "functional": "PBE-GGA",
  "state": "relaxed",
  "dft_energy_ev_per_atom": -4.2284,
  "formation_energy_ev_per_atom": -1.536,
  "lattice_angstrom": [[-5.737, 0.351, -7.397], [8.558, -1.951, -3.273], [-0.127, -8.744, -4.441]],
  "species": ["F", "O", "F", "F", "F", "Tl", "O", "Tl", "F", "F", "O", "Tl", "O", "Tl", "F", "F", "Tl", "O", "O", "Tl", "Tl", "F", "Tl", "F", "Tl", "O", "F", "F", "Tl", "O", "O", "F", "Tl", "F", "O", "Tl", "O", "O", "F", "Tl", "O", "O", "Tl", "Tl", "F", "O", "Tl", "O"],
  "frac_coords": [[0.230, 0.027, 0.477], [0.254, 0.511, 0.477], [0.028, 0.753, 0.489], [0.237, 0.237, 0.745], [0.753, 0.028, 0.489], [0.732, 0.732, 0.527], [0.226, 0.766, 0.740], [0.508, 0.508, 0.962], [0.013, 0.013, 0.291], [0.200, 0.991, 0.022], [0.997, 0.473, 0.765], [0.521, 0.258, 0.731], [0.511, 0.254, 0.477], [0.966, 0.966, 0.004], [0.508, 0.040, 0.263], [0.540, 0.540, 0.248], [0.029, 0.270, 0.229], [0.490, 0.490, 0.737], [0.768, 0.500, 0.496], [0.258, 0.521, 0.731], [0.270, 0.029, 0.229], [0.991, 0.991, 0.760], [0.495, 0.761, 0.266], [0.773, 0.773, 0.275], [0.964, 0.706, 0.788], [0.500, 0.768, 0.496], [0.281, 0.798, 0.221], [0.027, 0.230, 0.477], [0.248, 0.742, 0.979], [0.482, 0.225, 0.990], [0.722, 0.475, 0.007], [0.991, 0.200, 0.022], [0.990, 0.476, 0.529], [0.298, 0.298, 0.227], [0.225, 0.482, 0.990], [0.761, 0.495, 0.266], [0.975, 0.718, 0.033], [0.766, 0.226, 0.740], [0.040, 0.508, 0.263], [0.281, 0.281, 0.483], [0.762, 0.762, 0.732], [0.475, 0.722, 0.007], [0.706, 0.964, 0.788], [0.476, 0.990, 0.529], [0.798, 0.281, 0.221], [0.718, 0.975, 0.033], [0.742, 0.248, 0.979], [0.473, 0.997, 0.765]]
}

---

(8)
{
  "formula": "TmOF",
  "functional": "PBE-GGA",
  "state": "relaxed",
  "dft_energy_ev_per_atom": -7.7291,
  "formation_energy_ev_per_atom": -4.333,
  "lattice_angstrom": [[5.470, 0.000, 0.000], [0.000, 5.536, 0.000], [0.000, 0.966, 5.458]],
  "species": ["Tm", "F", "O", "Tm", "Tm", "Tm", "O", "F", "F", "O", "F", "O"],
  "frac_coords": [[0.974, 0.305, 0.787], [0.174, 0.942, 0.845], [0.746, 0.539, 0.990], [0.026, 0.695, 0.213], [0.526, 0.305, 0.287], [0.474, 0.695, 0.713], [0.254, 0.461, 0.010], [0.826, 0.058, 0.155], [0.326, 0.942, 0.345], [0.246, 0.461, 0.510], [0.674, 0.058, 0.655], [0.754, 0.539, 0.490]]
}